# Eu3Mg

A relaxed Eu3Mg crystal (PBE, the Materials Project).

```
Eu3Mg
1.0
4.9462 -3.2136 -0.7598
1.5005 -4.1391 3.9983
-0.3866 -5.7668 -1.4016
Eu Mg
3 1
direct
0.2500 0.2500 0.2500 Eu
0.5000 0.5000 0.5000 Eu
0.7500 0.7500 0.7500 Eu
0.0000 0.0000 0.0000 Mg
```

Calculated values
ΔH_f (0 K), eV per atom: 0.00

# Eu3Mg

A relaxed Eu3Mg crystal (PBE, the Materials Project).

```
Eu3Mg
1.0
5.2713 0.0000 0.0000
0.0000 5.2713 0.0000
0.0000 0.0000 5.2713
Eu Mg
3 1
direct
0.5000 0.5000 0.0000 Eu
0.5000 0.0000 0.5000 Eu
0.0000 0.5000 0.5000 Eu
0.0000 0.0000 0.0000 Mg
```

Calculated values
ΔH_f (0 K), eV per atom: -0.01

# EuMg5

A relaxed EuMg5 crystal (PBE, the Materials Project).

```
EuMg5
1.0
5.2584 -9.1077 0.0000
5.2584 9.1077 0.0000
0.0000 0.0000 10.8445
Mg Eu
30 6
direct
0.5000 0.5000 0.5000 Mg
0.3231 0.1616 0.0900 Mg
0.8384 0.1616 0.0900 Mg
0.3333 0.6667 0.9969 Mg
0.8384 0.6769 0.4100 Mg
0.1616 0.8384 0.5900 Mg
0.0000 0.0000 0.0000 Mg
0.5685 0.4315 0.2500 Mg
0.3231 0.1616 0.4100 Mg
0.1616 0.3231 0.9100 Mg
0.5000 0.0000 0.5000 Mg
0.8384 0.6769 0.0900 Mg
0.8384 0.1616 0.4100 Mg
0.6769 0.8384 0.9100 Mg
0.0000 0.5000 0.0000 Mg
0.8630 0.4315 0.2500 Mg
0.0000 0.5000 0.5000 Mg
0.5000 0.0000 0.0000 Mg
0.6667 0.3333 0.4969 Mg
0.6667 0.3333 0.0031 Mg
0.1370 0.5685 0.7500 Mg
0.1616 0.3231 0.5900 Mg
0.5685 0.1370 0.2500 Mg
0.4315 0.5685 0.7500 Mg
0.3333 0.6667 0.5031 Mg
0.5000 0.5000 0.0000 Mg
0.6769 0.8384 0.5900 Mg
0.1616 0.8384 0.9100 Mg
0.0000 0.0000 0.5000 Mg
0.4315 0.8630 0.7500 Mg
0.8049 0.1951 0.7500 Eu
0.6099 0.8049 0.2500 Eu
0.3901 0.1951 0.7500 Eu
0.1951 0.3901 0.2500 Eu
0.1951 0.8049 0.2500 Eu
0.8049 0.6099 0.7500 Eu
```

Calculated values
ΔH_f (0 K), eV per atom: 0.00

# EuMg3

A relaxed EuMg3 crystal (PBE, the Materials Project).

```
EuMg3
1.0
-2.7560 -3.8113 -2.4711
-5.2410 -0.4116 0.7684
-3.3658 1.2663 -3.9110
Mg Eu
3 1
direct
0.2500 0.2500 0.2500 Mg
0.7500 0.7500 0.7500 Mg
0.5000 0.5000 0.5000 Mg
0.0000 0.0000 0.0000 Eu
```

Calculated values
ΔH_f (0 K), eV per atom: -0.07

> What is the formula in the third record?

EuMg5

> The lowest ΔH_f (0 K) belongs to which entry?

EuMg3